Entry 1:
Below is AlCu3W4O12 after structural relaxation, with properties calculated at the PBE with a Hubbard U level.

Cell: 6.6141 6.7018 6.7039 Å, 109.58 108.64 109.21°
Last column: nearest neighbours and their distance in Å.
Positions (direct):
Al  0.0000  0.0000  0.0000  12 O 2.68-2.78
Cu  0.0000  0.5000  0.5000  4 O 2.04-2.13
Cu  0.5000  0.0000  0.5000  4 O 2.00-2.21
Cu  0.5000  0.5000  0.0000  4 O 2.07-2.14
W  0.0000  0.0000  0.5000  6 O 1.99-2.05
W  0.0000  0.5000  0.0000  6 O 1.96-2.07
W  0.5000  0.0000  0.0000  6 O 2.04-2.13
W  0.5000  0.5000  0.5000  6 O 1.96-2.07
O  0.1098  0.2862  0.8082  2 W 1.99-2.07, 1 Cu 2.14
O  0.1781  0.4853  0.3019  1 Cu 2.04, 2 W 2.04-2.07
O  0.1873  0.8860  0.7005  2 W 2.04, 1 Cu 2.13
O  0.2903  0.7952  0.1010  2 W 1.96-2.06
O  0.3071  0.1750  0.4814  1 Cu 2.00, 2 W 2.05-2.07
O  0.4934  0.3199  0.1975  2 W 1.96-2.13, 1 Cu 2.07
O  0.5066  0.6801  0.8025  2 W 1.96-2.13, 1 Cu 2.07
O  0.6929  0.8250  0.5186  1 Cu 2.00, 2 W 2.05-2.07
O  0.7097  0.2048  0.8990  2 W 1.96-2.06
O  0.8127  0.1140  0.2995  2 W 2.04, 1 Cu 2.13
O  0.8219  0.5147  0.6981  1 Cu 2.04, 2 W 2.04-2.07
O  0.8902  0.7138  0.1918  2 W 1.99-2.07, 1 Cu 2.14

Crystal system ... triclinic
E_form ... -1.55 eV per atom
E (MP2020) ... -7.913 eV per atom
Theoretical density ... 8.2 g cm⁻³

Entry 2:
Below is AlFe3F15 after structural relaxation, with properties calculated at the PBE with a Hubbard U level.

Cell: 5.9501 10.9732 9.2566 Å, 90.00 105.19 90.00°
Last column: nearest neighbours and their distance in Å.
Positions (direct):
Al  0.0617  0.2500  0.2588  4 F 1.68-1.75
Al  0.9383  0.7500  0.7412  4 F 1.68-1.75
Fe  0.4867  0.5021  0.6650  5 F 1.80-2.00
Fe  0.4867  0.9979  0.6650  5 F 1.80-2.00
Fe  0.5000  0.0000  0.0000  2 F 1.75
Fe  0.5000  0.5000  0.0000  2 F 1.75
Fe  0.5133  0.0021  0.3350  5 F 1.80-2.00
Fe  0.5133  0.4979  0.3350  5 F 1.80-2.00
F  0.0795  0.7500  0.9242  1 Al 1.68
F  0.0964  0.7500  0.6156  1 Al 1.68
F  0.1392  0.7500  0.2780  4 F 2.64-2.74
F  0.2282  0.0901  0.6230  1 Fe 1.80
F  0.2282  0.4099  0.6230  1 Fe 1.80
F  0.2442  0.1220  0.2908  1 Al 1.75
F  0.2442  0.3780  0.2908  1 Al 1.75
F  0.2474  0.0899  0.9529  1 Fe 1.75
F  0.2474  0.4101  0.9529  1 Fe 1.75
F  0.3715  0.5863  0.1465  2 Fe 1.97-1.98
F  0.3715  0.9137  0.1465  2 Fe 1.97-1.98
F  0.3736  0.5905  0.4729  2 Fe 1.98
F  0.3736  0.9095  0.4729  2 Fe 1.98
F  0.3785  0.5983  0.8177  2 Fe 1.97-2.00
F  0.3785  0.9017  0.8177  2 Fe 1.97-2.00
F  0.6215  0.0983  0.1823  2 Fe 1.97-2.00
F  0.6215  0.4017  0.1823  2 Fe 1.97-2.00
F  0.6264  0.0905  0.5271  2 Fe 1.98
F  0.6264  0.4095  0.5271  2 Fe 1.98
F  0.6285  0.0863  0.8535  2 Fe 1.97-1.98
F  0.6285  0.4137  0.8535  2 Fe 1.97-1.98
F  0.7526  0.5899  0.0471  1 Fe 1.75
F  0.7526  0.9101  0.0471  1 Fe 1.75
F  0.7558  0.6220  0.7092  1 Al 1.75
F  0.7558  0.8780  0.7092  1 Al 1.75
F  0.7718  0.5901  0.3770  1 Fe 1.80
F  0.7718  0.9099  0.3770  1 Fe 1.80
F  0.8608  0.2500  0.7220  4 F 2.64-2.74
F  0.9036  0.2500  0.3844  1 Al 1.68
F  0.9205  0.2500  0.0758  1 Al 1.68

Crystal system ... monoclinic
E_form ... -2.31 eV per atom
E (MP2020) ... -5.360 eV per atom
Theoretical density ... 2.7 g cm⁻³
Distance to the lowest polymorph of the same formula ... 0.00 kcal/mol of atoms

Entry 3:
Below is AlFe3F15 after structural relaxation, with properties calculated at the PBE with a Hubbard U level.

Cell: 5.3473 5.3473 9.6469 Å, 108.66 108.66 76.76°
Last column: nearest neighbours and their distance in Å.
Positions (direct):
Al  0.0000  0.0000  0.0000  4 F 1.71-1.87
Fe  0.4993  0.4993  0.1790  4 F 1.80-1.97
Fe  0.5000  0.5000  0.5000  2 F 1.75
Fe  0.5007  0.5007  0.8210  4 F 1.80-1.97
F  0.0000  0.0000  0.5000  8 F 2.52-2.65
F  0.0027  0.0027  0.1786  1 Al 1.71
F  0.2443  0.2443  0.0789  1 Al 1.87, 1 Fe 1.95
F  0.2660  0.2660  0.7488  1 Fe 1.80
F  0.2709  0.2709  0.4243  1 Fe 1.75
F  0.3021  0.6979  0.0000  1 Al 2.01, 2 Fe 2.17
F  0.3102  0.6781  0.3370  2 Fe 1.97-1.98
F  0.3219  0.6898  0.6630  2 Fe 1.97-1.98
F  0.6781  0.3102  0.3370  2 Fe 1.97-1.98
F  0.6898  0.3219  0.6630  2 Fe 1.97-1.98
F  0.6979  0.3021  0.0000  1 Al 2.01, 2 Fe 2.17
F  0.7291  0.7291  0.5757  1 Fe 1.75
F  0.7340  0.7340  0.2512  1 Fe 1.80
F  0.7557  0.7557  0.9211  1 Al 1.87, 1 Fe 1.95
F  0.9973  0.9973  0.8214  1 Al 1.71

Crystal system ... monoclinic
E_form ... -2.29 eV per atom
E (MP2020) ... -5.335 eV per atom
Theoretical density ... 3.2 g cm⁻³
Distance to the lowest polymorph of the same formula ... 0.56 kcal/mol of atoms

Entry 4:
Below is Al2Fe3F15 after structural relaxation, with properties calculated at the PBE with a Hubbard U level.

Cell: 5.2208 5.2208 10.7604 Å, 104.45 104.45 73.12°
Last column: nearest neighbours and their distance in Å.
Positions (direct):
Al  0.1570  0.1570  0.1593  5 F 1.71-1.87
Al  0.8430  0.8430  0.8407  5 F 1.71-1.87
Fe  0.1278  0.1278  0.6344  4 F 1.77-1.95
Fe  0.5000  0.5000  0.0000  6 F 1.91-2.03
Fe  0.8722  0.8722  0.3656  4 F 1.77-1.95
F  0.0000  0.0000  0.0000  2 Al 1.81
F  0.0238  0.0238  0.7665  1 Fe 1.89, 1 Al 1.92
F  0.1569  0.5662  0.8620  1 Al 1.85, 1 Fe 2.03
F  0.1975  0.8025  0.5000  2 Fe 1.95
F  0.3004  0.3004  0.3122  1 Al 1.71
F  0.3246  0.3246  0.0787  1 Al 1.87, 1 Fe 1.91
F  0.3322  0.3322  0.6207  1 Fe 1.77
F  0.4338  0.8431  0.1380  1 Al 1.85, 1 Fe 2.03
F  0.5662  0.1569  0.8620  1 Al 1.85, 1 Fe 2.03
F  0.6678  0.6678  0.3793  1 Fe 1.77
F  0.6754  0.6754  0.9213  1 Al 1.87, 1 Fe 1.91
F  0.6996  0.6996  0.6878  1 Al 1.71
F  0.8025  0.1975  0.5000  2 Fe 1.95
F  0.8431  0.4338  0.1380  1 Al 1.85, 1 Fe 2.03
F  0.9762  0.9762  0.2335  1 Fe 1.89, 1 Al 1.92

Crystal system ... monoclinic
E_form ... -2.94 eV per atom
E (MP2020) ... -6.020 eV per atom
Theoretical density ... 3.2 g cm⁻³

Entry 5:
Below is AlFeF5 after structural relaxation, with properties calculated at the PBE with a Hubbard U level.

Cell: 5.2509 5.2509 5.2509 Å, 139.81 106.05 87.69°
Last column: nearest neighbours and their distance in Å.
Positions (direct):
Al  0.0000  0.0000  0.0000  6 F 1.80-1.84
Fe  0.5000  0.5000  0.0000  2 F 1.98
F  0.0000  0.5000  0.5000  2 Al 1.80
F  0.2389  0.2389  0.0000  1 Al 1.81, 1 Fe 1.98
F  0.2920  0.0000  0.2920  1 Al 1.84
F  0.7080  0.0000  0.7080  1 Al 1.84
F  0.7611  0.7611  0.0000  1 Al 1.81, 1 Fe 1.98

Crystal system ... orthorhombic
E_form ... -3.31 eV per atom
E (MP2020) ... -6.423 eV per atom
Theoretical density ... 3.4 g cm⁻³

Entry 6:
Below is AlFe4Hg2O2F after structural relaxation, with properties calculated at the PBE with a Hubbard U level.

Cell: 8.6866 8.6866 8.6866 Å, 101.04 101.04 128.09°
Last column: nearest neighbours and their distance in Å.
Positions (direct):
Al  0.0000  0.0000  0.0000  2 F 1.83-1.97
Al  0.5000  0.5000  0.0000  2 F 1.83-1.97
Fe  0.0223  0.1800  0.3018  1 O 1.85
Fe  0.1800  0.8782  0.1577  1 O 1.85
Fe  0.2205  0.3782  0.6982  1 O 1.85
Fe  0.3782  0.6800  0.1577  1 O 1.85
Fe  0.5223  0.2205  0.8423  1 O 1.85
Fe  0.6800  0.5223  0.3018  1 O 1.85
Fe  0.7205  0.0223  0.8423  1 O 1.85
Fe  0.8782  0.7205  0.6982  1 O 1.85
Hg  0.1662  0.8937  0.5000  1 O 2.76, 4 Fe 2.98-3.08
Hg  0.3937  0.6662  0.5000  1 O 2.76, 4 Fe 2.98-3.08
Hg  0.6662  0.1662  0.2725  1 O 2.76, 4 Fe 2.98-3.08
Hg  0.8937  0.3937  0.7275  1 O 2.76, 4 Fe 2.98-3.08
O  0.0582  0.1336  0.5000  2 Fe 1.85
O  0.1336  0.6336  0.0754  2 Fe 1.85
O  0.5582  0.0582  0.9246  2 Fe 1.85
O  0.6336  0.5582  0.5000  2 Fe 1.85
F  0.2403  0.2403  0.0000  2 Al 1.83-1.97
F  0.7403  0.7403  0.0000  2 Al 1.83-1.97

Crystal system ... tetragonal
E_form ... -0.15 eV per atom
E (MP2020) ... -5.155 eV per atom
Theoretical density ... 5.0 g cm⁻³
Distance to the lowest polymorph of the same formula ... 1.72 kcal/mol of atoms